Entry from Materials Project: a geometry-optimized Hf2N2O structure (PBE-GGA).

```
20
Lattice="-2.481 -1.754 -0.574 1.418 -3.486 4.524 -6.677 6.995 7.481" Properties=species:S:1:pos:R:3 pbc="T T T"
Hf -1.792 0.498 2.059
Hf -4.543 0.984 4.135
Hf -6.656 5.395 8.116
Hf -6.075 2.390 6.458
Hf -1.666 -0.635 4.974
Hf -1.084 -3.640 3.316
Hf -3.197 0.771 7.297
Hf -5.948 1.257 9.373
N -2.118 -1.319 0.692
N -5.625 4.509 6.364
N -3.235 -0.581 3.266
N -3.894 2.264 5.747
N -3.846 -0.509 5.684
N -4.505 2.336 8.166
N -2.115 -2.754 5.067
N -5.622 3.074 10.739
O -3.241 2.248 2.975
O -7.196 3.332 8.422
O -0.545 -1.577 3.010
O -4.499 -0.493 8.457
```

Output
Space-group type = No. 62
E_form = -2.28 eV/atom
Total magnetic moment = 0.00 μB per cell
Mass density = 12.0 g/cm³